This record from Materials Project describes crystalline MgZn3 at its relaxed geometry. The functional is PBE.

Values from the calculation:
Its space group is No. 187.

a = 2.977 Å, b = 2.977 Å, c = 8.779 Å
α = 90.00°, β = 90.00°, γ = 120.00°
Atoms (fractional coordinates):
Mg  0.667  0.333  0.500
Zn  0.667  0.333  0.000
Zn  0.000  0.000  0.760
Zn  0.000  0.000  0.240



This record from Materials Project describes crystalline DyNbO4 at its relaxed geometry. The functional is PBE.

Values from the calculation:
Its space group is No. 88.

a = 5.698 Å, b = 5.698 Å, c = 5.698 Å
α = 118.67°, β = 118.67°, γ = 92.33°
Atoms (fractional coordinates):
Dy  0.000  0.000  0.000
Dy  0.750  0.250  0.500
Nb  0.500  0.500  0.000
Nb  0.250  0.750  0.500
O  0.349  0.135  0.528
O  0.608  0.822  0.472
O  0.885  0.858  0.286
O  0.572  0.599  0.714
O  0.401  0.115  0.972
O  0.142  0.428  0.028
O  0.865  0.392  0.214
O  0.178  0.651  0.786



This record from Materials Project describes crystalline NaLiTe at its relaxed geometry. The functional is PBE.

Values from the calculation:
Its space group is No. 62.

a = 4.607 Å, b = 7.735 Å, c = 8.369 Å
α = 90.00°, β = 90.00°, γ = 90.00°
Atoms (fractional coordinates):
Na  0.750  0.485  0.315
Na  0.250  0.015  0.815
Na  0.750  0.985  0.185
Na  0.250  0.515  0.685
Li  0.250  0.642  0.071
Li  0.250  0.142  0.429
Li  0.750  0.358  0.929
Li  0.750  0.858  0.571
Te  0.250  0.775  0.392
Te  0.250  0.275  0.108
Te  0.750  0.725  0.892
Te  0.750  0.225  0.608



This record from Materials Project describes crystalline RbMnBi at its relaxed geometry. The functional is PBE.

Values from the calculation:
Its space group is No. 129.

a = 4.871 Å, b = 4.871 Å, c = 8.832 Å
α = 90.00°, β = 90.00°, γ = 90.00°
Atoms (fractional coordinates):
Rb  0.000  0.500  0.343
Rb  0.500  0.000  0.657
Mn  0.000  0.000  0.000
Mn  0.500  0.500  0.000
Bi  0.000  0.500  0.819
Bi  0.500  0.000  0.181



This record from Materials Project describes crystalline Li2AlB5O10 at its relaxed geometry. The functional is PBE.

Values from the calculation:
Its space group is No. 14.

a = 15.089 Å, b = 7.145 Å, c = 7.152 Å
α = 89.14°, β = 90.00°, γ = 90.00°
Atoms (fractional coordinates):
Li  0.172  0.897  0.997
Li  0.429  0.302  0.915
Li  0.328  0.897  0.497
Li  0.571  0.698  0.085
Li  0.672  0.103  0.503
Li  0.828  0.103  0.003
Li  0.929  0.698  0.585
Li  0.071  0.302  0.415
Al  0.376  0.849  0.037
Al  0.624  0.151  0.963
Al  0.124  0.849  0.537
Al  0.876  0.151  0.463
B  0.999  0.243  0.766
B  0.472  0.797  0.401
B  0.120  0.320  0.992
B  0.753  0.458  0.000
B  0.747  0.458  0.500
B  0.001  0.757  0.234
B  0.253  0.542  0.500
B  0.380  0.320  0.492
B  0.279  0.209  0.981
B  0.499  0.757  0.734
B  0.501  0.243  0.266
B  0.028  0.797  0.901
B  0.221  0.209  0.481
B  0.620  0.680  0.508
B  0.779  0.791  0.519
B  0.528  0.203  0.599
B  0.880  0.680  0.008
B  0.972  0.203  0.099
B  0.247  0.542  0.000
B  0.721  0.791  0.019
O  0.807  0.603  0.537
O  0.655  0.921  0.029
O  0.552  0.167  0.412
O  0.840  0.498  0.976
O  0.532  0.240  0.086
O  0.910  0.152  0.227
O  0.468  0.760  0.914
O  0.948  0.719  0.859
O  0.307  0.397  0.963
O  0.420  0.318  0.305
O  0.155  0.079  0.471
O  0.193  0.397  0.463
O  0.448  0.281  0.641
O  0.809  0.832  0.996
O  0.410  0.848  0.273
O  0.052  0.833  0.088
O  0.080  0.318  0.805
O  0.345  0.079  0.971
O  0.590  0.152  0.727
O  0.309  0.168  0.504
O  0.580  0.682  0.695
O  0.776  0.277  0.487
O  0.920  0.682  0.195
O  0.845  0.921  0.529
O  0.660  0.498  0.476
O  0.191  0.168  0.004
O  0.224  0.723  0.513
O  0.032  0.760  0.414
O  0.448  0.833  0.588
O  0.948  0.167  0.912
O  0.160  0.502  0.024
O  0.340  0.502  0.524
O  0.276  0.723  0.013
O  0.691  0.832  0.496
O  0.724  0.277  0.987
O  0.552  0.719  0.359
O  0.693  0.603  0.037
O  0.968  0.240  0.586
O  0.052  0.281  0.141
O  0.090  0.848  0.773



This record from Materials Project describes crystalline CaZrSi2O7 at its relaxed geometry. The functional is PBE.

Values from the calculation:
Its space group is No. 5.

a = 5.595 Å, b = 5.595 Å, c = 4.747 Å
α = 82.78°, β = 82.78°, γ = 103.68°
Atoms (fractional coordinates):
Ca  0.295  0.705  0.500
Zr  0.684  0.316  0.500
Si  0.795  0.780  0.917
Si  0.220  0.205  0.083
O  0.884  0.592  0.709
O  0.408  0.116  0.291
O  0.656  0.963  0.736
O  0.037  0.344  0.264
O  0.059  0.941  0.000
O  0.377  0.375  0.783
O  0.625  0.623  0.217



This record from Materials Project describes crystalline Cu3NiHgSe4 at its relaxed geometry. The functional is PBE.

Values from the calculation:
Its space group is No. 215.

a = 5.830 Å, b = 5.830 Å, c = 5.830 Å
α = 90.00°, β = 90.00°, γ = 90.00°
Atoms (fractional coordinates):
Cu  0.000  0.500  0.000
Cu  0.000  0.000  0.500
Cu  0.500  0.000  0.000
Ni  0.000  0.000  0.000
Hg  0.500  0.500  0.500
Se  0.231  0.231  0.231
Se  0.769  0.769  0.231
Se  0.231  0.769  0.769
Se  0.769  0.231  0.769



This record from Materials Project describes crystalline Ba4MgRh4O12 at its relaxed geometry. The functional is PBE.

Values from the calculation:
Its space group is No. 156. The value obtained for the energy relative to the lowest polymorph listed for this composition is 81 meV per atom.

a = 5.840 Å, b = 5.840 Å, c = 10.211 Å
α = 90.00°, β = 90.00°, γ = 120.00°
Atoms (fractional coordinates):
Ba  0.667  0.333  0.750
Ba  0.333  0.667  0.250
Ba  0.000  0.000  0.447
Ba  0.000  0.000  0.056
Mg  0.000  0.000  0.752
Rh  0.333  0.667  0.892
Rh  0.667  0.333  0.384
Rh  0.667  0.333  0.117
Rh  0.333  0.667  0.608
O  0.184  0.369  0.750
O  0.819  0.181  0.250
O  0.361  0.181  0.250
O  0.631  0.816  0.750
O  0.184  0.816  0.750
O  0.819  0.639  0.250
O  0.504  0.008  0.505
O  0.504  0.496  0.995
O  0.504  0.008  0.995
O  0.504  0.496  0.505
O  0.992  0.496  0.505
O  0.992  0.496  0.995



This record from Materials Project describes crystalline Li2CeGa at its relaxed geometry. The functional is PBE.

Values from the calculation:
Its space group is No. 225.

a = 4.782 Å, b = 4.782 Å, c = 4.782 Å
α = 60.00°, β = 60.00°, γ = 60.00°
Atoms (fractional coordinates):
Li  0.750  0.750  0.750
Li  0.250  0.250  0.250
Ce  0.500  0.500  0.500
Ga  0.000  0.000  0.000



This record from Materials Project describes crystalline NaTaSi2SnSO12 at its relaxed geometry. The functional is PBE.

a = 8.855 Å, b = 8.850 Å, c = 22.836 Å
α = 91.09°, β = 90.00°, γ = 120.02°
Atoms (fractional coordinates):
Na  0.027  0.013  0.497
Na  0.986  0.013  0.997
Na  0.694  0.347  0.830
Na  0.653  0.347  0.330
Na  0.360  0.680  0.163
Na  0.320  0.680  0.663
Ta  0.996  0.993  0.644
Ta  0.997  0.993  0.144
Ta  0.662  0.326  0.977
Ta  0.664  0.326  0.477
Ta  0.329  0.660  0.311
Ta  0.330  0.660  0.811
Si  0.292  0.998  0.250
Si  0.714  0.711  0.250
Si  0.997  0.711  0.750
Si  0.705  0.998  0.750
Si  0.959  0.331  0.583
Si  0.381  0.044  0.583
Si  0.663  0.044  0.083
Si  0.372  0.331  0.083
Si  0.626  0.664  0.917
Si  0.047  0.377  0.917
Si  0.330  0.377  0.417
Si  0.039  0.664  0.417
Sn  0.014  0.993  0.354
Sn  0.979  0.993  0.854
Sn  0.680  0.326  0.687
Sn  0.646  0.326  0.187
Sn  0.347  0.659  0.021
Sn  0.312  0.659  0.521
S  0.999  0.285  0.250
S  0.287  0.285  0.750
S  0.665  0.619  0.583
S  0.953  0.619  0.083
S  0.332  0.952  0.916
S  0.620  0.952  0.416
O  0.221  0.046  0.308
O  0.820  0.804  0.310
O  0.971  0.185  0.303
O  0.213  0.185  0.803
O  0.984  0.804  0.810
O  0.825  0.046  0.808
O  0.809  0.977  0.693
O  0.178  0.201  0.696
O  0.026  0.833  0.693
O  0.807  0.833  0.193
O  0.023  0.201  0.196
O  0.168  0.977  0.193
O  0.888  0.380  0.642
O  0.486  0.137  0.643
O  0.638  0.518  0.636
O  0.880  0.518  0.136
O  0.651  0.137  0.143
O  0.492  0.380  0.142
O  0.475  0.310  0.026
O  0.845  0.534  0.030
O  0.693  0.166  0.026
O  0.474  0.166  0.526
O  0.690  0.534  0.530
O  0.835  0.310  0.526
O  0.554  0.713  0.975
O  0.153  0.471  0.976
O  0.305  0.851  0.969
O  0.547  0.851  0.469
O  0.318  0.471  0.476
O  0.159  0.713  0.475
O  0.142  0.644  0.359
O  0.511  0.868  0.363
O  0.359  0.499  0.359
O  0.140  0.499  0.859
O  0.356  0.868  0.863
O  0.502  0.644  0.859
O  0.001  0.826  0.414
O  0.798  0.986  0.410
O  0.148  0.191  0.411
O  0.043  0.191  0.911
O  0.188  0.986  0.910
O  0.825  0.826  0.914
O  0.964  0.148  0.591
O  0.183  0.019  0.591
O  0.832  0.792  0.588
O  0.960  0.792  0.088
O  0.835  0.019  0.091
O  0.184  0.148  0.091
O  0.668  0.159  0.747
O  0.465  0.319  0.743
O  0.815  0.524  0.745
O  0.709  0.524  0.245
O  0.854  0.319  0.243
O  0.491  0.159  0.247
O  0.631  0.482  0.924
O  0.850  0.352  0.924
O  0.499  0.125  0.921
O  0.627  0.125  0.421
O  0.502  0.352  0.424
O  0.851  0.482  0.424
O  0.335  0.492  0.080
O  0.132  0.653  0.076
O  0.482  0.858  0.078
O  0.376  0.858  0.578
O  0.521  0.653  0.576
O  0.158  0.492  0.580
O  0.298  0.815  0.257
O  0.516  0.685  0.257
O  0.165  0.459  0.254
O  0.293  0.459  0.754
O  0.169  0.685  0.757
O  0.517  0.815  0.757



This record from Materials Project describes crystalline Ba3SrSn4O12 at its relaxed geometry. The functional is PBE.

Values from the calculation:
Its space group is No. 47.

a = 4.171 Å, b = 5.901 Å, c = 11.799 Å
α = 90.00°, β = 90.00°, γ = 90.00°
Atoms (fractional coordinates):
Ba  0.500  0.000  0.250
Ba  0.500  0.500  0.500
Ba  0.500  0.000  0.750
Sr  0.500  0.500  0.000
Sn  0.000  0.000  0.500
Sn  0.000  0.500  0.751
Sn  0.000  0.000  0.000
Sn  0.000  0.500  0.249
O  0.000  0.250  0.625
O  0.000  0.747  0.877
O  0.000  0.253  0.123
O  0.000  0.750  0.375
O  0.000  0.250  0.375
O  0.000  0.750  0.625
O  0.000  0.253  0.877
O  0.000  0.747  0.123
O  0.500  0.000  0.500
O  0.500  0.500  0.752
O  0.500  0.000  0.000
O  0.500  0.500  0.248



This record from Materials Project describes crystalline SbSe9Cl7 at its relaxed geometry. The functional is PBE.

Values from the calculation:
Its space group is No. 14.

a = 13.070 Å, b = 12.544 Å, c = 15.182 Å
α = 65.24°, β = 90.00°, γ = 90.00°
Atoms (fractional coordinates):
Sb  0.833  0.304  0.413
Sb  0.667  0.304  0.913
Sb  0.167  0.696  0.587
Sb  0.333  0.696  0.087
Se  0.252  0.387  0.425
Se  0.764  0.769  0.643
Se  0.327  0.044  0.755
Se  0.031  0.310  0.113
Se  0.736  0.769  0.143
Se  0.752  0.613  0.075
Se  0.173  0.044  0.255
Se  0.383  0.129  0.405
Se  0.300  0.088  0.131
Se  0.673  0.956  0.245
Se  0.941  0.622  0.051
Se  0.236  0.231  0.357
Se  0.518  0.898  0.331
Se  0.482  0.102  0.669
Se  0.827  0.711  0.419
Se  0.800  0.912  0.369
Se  0.531  0.690  0.387
Se  0.469  0.310  0.613
Se  0.700  0.912  0.869
Se  0.673  0.711  0.919
Se  0.200  0.088  0.631
Se  0.173  0.289  0.581
Se  0.327  0.289  0.081
Se  0.617  0.871  0.595
Se  0.018  0.102  0.169
Se  0.748  0.613  0.575
Se  0.969  0.690  0.887
Se  0.059  0.378  0.949
Se  0.441  0.378  0.449
Se  0.248  0.387  0.925
Se  0.264  0.231  0.857
Se  0.982  0.898  0.831
Se  0.883  0.871  0.095
Se  0.117  0.129  0.905
Se  0.559  0.622  0.551
Se  0.827  0.956  0.745
Cl  0.792  0.462  0.853
Cl  0.292  0.538  0.647
Cl  0.800  0.170  0.009
Cl  0.046  0.856  0.527
Cl  0.129  0.644  0.456
Cl  0.207  0.744  0.721
Cl  0.454  0.856  0.027
Cl  0.495  0.213  0.286
Cl  0.005  0.213  0.786
Cl  0.293  0.744  0.221
Cl  0.708  0.462  0.353
Cl  0.371  0.644  0.956
Cl  0.300  0.830  0.491
Cl  0.466  0.564  0.184
Cl  0.534  0.436  0.816
Cl  0.546  0.144  0.973
Cl  0.995  0.787  0.214
Cl  0.629  0.356  0.044
Cl  0.700  0.170  0.509
Cl  0.208  0.538  0.147
Cl  0.793  0.256  0.279
Cl  0.871  0.356  0.544
Cl  0.954  0.144  0.473
Cl  0.505  0.787  0.714
Cl  0.707  0.256  0.779
Cl  0.966  0.436  0.316
Cl  0.034  0.564  0.684
Cl  0.200  0.830  0.991



no.,formation enthalpy at 0 K (meV/atom),E (eV per cell)
1,12,-5.3
2,-3228,-102.2
3,-1136,-37.4
4,23,-27.9
5,-2909,-543.7
6,-3505,-89.8
7,-319,-33.3
8,-1938,-130.6
9,-167,-13.4
10,-2649,-785.9
11,-2587,-126.3
12,-552,-214.5